--- one ---
VASP calculation (PBE) on crystalline K2LiNd4Nb2O12 at its relaxed geometry.

Cell and atoms, written as POSCAR:
```
K2LiNd4Nb2O12
1.0
5.7641 0.0047 -0.0009
-2.8767 6.1744 -1.8480
-0.0015 -0.1191 9.0201
K Li Nd Nb O
2 1 4 2 12
Direct
0.1157 0.2325 0.4912
0.8834 0.7667 0.5103
0.6636 0.3198 0.0075
0.1324 0.2626 0.9227
0.5732 0.1486 0.2265
0.4127 0.8252 0.7962
0.8850 0.7711 0.0694
0.6602 0.3205 0.6982
0.3306 0.6605 0.2869
0.9993 0.5327 0.8366
0.2120 0.8968 0.2875
0.2657 0.0141 0.0020
0.7783 0.0945 0.7130
0.6845 0.8970 0.2874
0.7479 0.0156 0.0023
0.3165 0.0946 0.7127
0.9865 0.4646 0.1495
0.6764 0.3521 0.4982
0.3195 0.6384 0.4886
0.4804 0.4645 0.1489
0.5326 0.5334 0.8358
```

Computed properties:
Symmetry: P1, No. 1
M_tot: 1.005 μB per formula unit
Calculated density: 5.4 g/cm³

--- two ---
VASP calculation (PBE) on crystalline K2LiNd4Nb2O12 at its relaxed geometry.

Cell and atoms, written as POSCAR:
```
K2LiNd4Nb2O12
1.0
5.7668 0.0019 -0.0007
-2.8812 6.2386 -1.5478
-0.0009 0.2337 8.7222
K Li Nd Nb O
2 1 4 2 12
Direct
0.1145 0.2293 0.4586
0.9088 0.8168 0.5753
0.7695 0.5414 0.3230
0.1419 0.2841 0.9357
0.5582 0.1166 0.1919
0.4155 0.8305 0.7980
0.8714 0.7420 0.0540
0.6672 0.3344 0.6953
0.3285 0.6577 0.2947
0.0003 0.5433 0.8265
0.1883 0.8733 0.2949
0.2435 0.0015 0.9909
0.7959 0.1233 0.7089
0.6847 0.8721 0.2947
0.7584 0.0017 0.9911
0.3276 0.1237 0.7090
0.9790 0.4414 0.1844
0.6859 0.3721 0.4854
0.3285 0.6574 0.5121
0.4600 0.4402 0.1846
0.5433 0.5435 0.8268
```

Computed properties:
Symmetry: P1, No. 1
M_tot: 0.381 μB per formula unit
Calculated density: 5.5 g/cm³

Which structure is most stable? two, by 3.1 kJ/mol of atoms over the runner-up.

--- one ---
VASP calculation (PBE) on crystalline K3Li2Nb5O15 at its relaxed geometry.

Cell and atoms, written as POSCAR:
```
K3Li2Nb5O15
1.0
-5.1229 -2.2922 -11.4412
0.0711 -12.5012 2.4728
-3.8197 0.3045 1.6493
K Li Nb O
6 4 10 30
Direct
0.0000 0.0000 0.4930
0.1719 0.6719 0.4972
0.3281 0.1719 0.4972
0.5000 0.5000 0.4930
0.6719 0.8281 0.4972
0.8281 0.3281 0.4972
0.1242 0.3758 0.5470
0.3758 0.8758 0.5470
0.6242 0.1242 0.5470
0.8758 0.6242 0.5470
0.0000 0.5000 0.0081
0.0763 0.2077 0.0127
0.2077 0.9237 0.0127
0.2923 0.4237 0.0127
0.4237 0.7077 0.0127
0.5000 0.0000 0.0081
0.5763 0.2923 0.0127
0.7077 0.5763 0.0127
0.7923 0.0763 0.0127
0.9237 0.7923 0.0127
0.0000 0.5000 0.4569
0.0031 0.3458 0.9405
0.0683 0.8587 0.9658
0.0803 0.2163 0.4577
0.1413 0.0683 0.9658
0.1542 0.4969 0.9405
0.2110 0.2890 0.9507
0.2163 0.9197 0.4577
0.2837 0.4197 0.4577
0.2890 0.7890 0.9507
0.3458 0.9969 0.9405
0.3587 0.5683 0.9658
0.4197 0.7163 0.4577
0.4317 0.3587 0.9658
0.4969 0.8458 0.9405
0.5000 0.0000 0.4569
0.5031 0.1542 0.9405
0.5683 0.6413 0.9658
0.5803 0.2837 0.4577
0.6413 0.4317 0.9658
0.6542 0.0031 0.9405
0.7110 0.2110 0.9507
0.7163 0.5803 0.4577
0.7837 0.0803 0.4577
0.7890 0.7110 0.9507
0.8458 0.5031 0.9405
0.8587 0.9317 0.9658
0.9197 0.7837 0.4577
0.9317 0.1413 0.9658
0.9969 0.6542 0.9405
```

Computed properties:
Piezoelectric modulus e_max: 3.65 C/m2
Symmetry: P4bm, No. 100
M_tot: 0.000 μB per formula unit
Calculated density: 4.1 g/cm³

--- two ---
VASP calculation (PBE) on crystalline K3Li2Nb5O15 at its relaxed geometry.

Cell and atoms, written as POSCAR:
```
K3Li2Nb5O15
1.0
-11.1978 -5.9225 2.2619
3.1233 -9.1488 -8.4928
1.7316 -2.1474 2.9501
K Li Nb O
6 4 10 30
Direct
0.5000 0.5000 0.5000
0.0000 0.0000 0.5000
0.6724 0.8276 0.5000
0.3276 0.1724 0.5000
0.1724 0.6724 0.5000
0.8276 0.3276 0.5000
0.8773 0.6227 0.5000
0.1227 0.3773 0.5000
0.3773 0.8773 0.5000
0.6227 0.1227 0.5000
0.5000 0.0000 0.0000
0.0000 0.5000 0.0000
0.7073 0.5760 0.0000
0.2927 0.4240 0.0000
0.2073 0.9240 0.0000
0.7927 0.0760 0.0000
0.4240 0.7073 0.0000
0.5760 0.2927 0.0000
0.0760 0.2073 0.0000
0.9240 0.7927 0.0000
0.4973 0.8456 0.0000
0.5027 0.1544 0.0000
0.9973 0.6544 0.0000
0.0027 0.3456 0.0000
0.1544 0.4973 0.0000
0.8456 0.5027 0.0000
0.3456 0.9973 0.0000
0.6544 0.0027 0.0000
0.5000 0.0000 0.5000
0.0000 0.5000 0.5000
0.7901 0.7099 0.0000
0.2099 0.2901 0.0000
0.2901 0.7901 0.0000
0.7099 0.2099 0.0000
0.5684 0.6411 0.0000
0.4316 0.3589 0.0000
0.0684 0.8589 0.0000
0.9316 0.1411 0.0000
0.3589 0.5684 0.0000
0.6411 0.4316 0.0000
0.1411 0.0684 0.0000
0.8589 0.9316 0.0000
0.7155 0.5791 0.5000
0.2845 0.4209 0.5000
0.2155 0.9209 0.5000
0.7845 0.0791 0.5000
0.4209 0.7155 0.5000
0.5791 0.2845 0.5000
0.0791 0.2155 0.5000
0.9209 0.7845 0.5000
```

Computed properties:
Symmetry: P4/mbm, No. 127
M_tot: 0.001 μB per formula unit
Calculated density: 4.2 g/cm³

Which structure is most stable? one, by 1.5 kJ/mol of atoms over the runner-up.

--- one ---
VASP calculation (PBE) on crystalline KMg6Mn at its relaxed geometry.

Cell and atoms, written as POSCAR:
```
KMg6Mn
1.0
5.2209 0.0000 0.0000
0.0000 6.7692 0.0000
0.0000 0.0000 11.4383
K Mg Mn
2 12 2
Direct
0.5000 0.5000 0.8344
0.5000 0.0000 0.3344
0.5000 0.2468 0.0813
0.5000 0.7532 0.0813
0.0000 0.2255 0.9185
0.0000 0.7745 0.9185
0.0000 0.5000 0.1722
0.0000 0.5000 0.6559
0.5000 0.7468 0.5813
0.5000 0.2532 0.5813
0.0000 0.7255 0.4185
0.0000 0.2745 0.4185
0.0000 0.0000 0.6722
0.0000 0.0000 0.1559
0.5000 0.5000 0.3378
0.5000 0.0000 0.8378
```

Computed properties:
M_tot: 4.104 μB per formula unit
Calculated density: 2.0 g/cm³

--- two ---
VASP calculation (PBE) on crystalline KMg6Mn at its relaxed geometry.

Cell and atoms, written as POSCAR:
```
KMg6Mn
1.0
-4.7792 0.3271 1.6706
0.4270 -6.1022 2.4165
3.7996 4.2416 10.0393
K Mg Mn
2 12 2
Direct
0.5000 0.5000 0.1661
0.5000 0.0000 0.6661
0.0000 0.7737 0.0698
0.0000 0.2263 0.0698
0.0000 0.0000 0.3357
0.5000 0.2756 0.4092
0.5000 0.7244 0.4092
0.5000 0.0000 0.1692
0.0000 0.2737 0.5698
0.0000 0.7263 0.5698
0.0000 0.5000 0.8357
0.5000 0.7756 0.9092
0.5000 0.2244 0.9092
0.5000 0.5000 0.6692
0.0000 0.5000 0.3710
0.0000 0.0000 0.8710
```

Computed properties:
M_tot: 3.730 μB per formula unit
Calculated density: 2.1 g/cm³

Which structure is most stable? one, by 0.9 kJ/mol of atoms over the runner-up.

--- one ---
VASP calculation (PBE) on crystalline KNaMg6 at its relaxed geometry.

Cell and atoms, written as POSCAR:
```
KNaMg6
1.0
5.4655 0.0000 0.0000
0.0000 6.4577 0.0000
0.0000 0.0000 12.6956
K Na Mg
2 2 12
Direct
0.5000 0.5000 0.6768
0.5000 0.0000 0.1768
0.5000 0.0000 0.6724
0.5000 0.5000 0.1724
0.5000 0.7498 0.9231
0.5000 0.2502 0.9231
0.0000 0.2443 0.5623
0.0000 0.7557 0.5623
0.0000 0.5000 0.8458
0.0000 0.0000 0.8344
0.5000 0.2498 0.4231
0.5000 0.7502 0.4231
0.0000 0.7443 0.0623
0.0000 0.2557 0.0623
0.0000 0.0000 0.3458
0.0000 0.5000 0.3344
```

Computed properties:
M_tot: 0.002 μB per formula unit
Calculated density: 1.5 g/cm³

--- two ---
VASP calculation (PBE) on crystalline KNaMg6 at its relaxed geometry.

Cell and atoms, written as POSCAR:
```
KNaMg6
1.0
5.3843 0.0000 0.0000
0.0000 6.9246 0.0000
0.0000 0.0000 11.8823
K Na Mg
2 2 12
Direct
0.0000 0.0000 0.8293
0.0000 0.5000 0.3293
0.5000 0.0000 0.6624
0.5000 0.5000 0.1624
0.0000 0.7431 0.5786
0.0000 0.2569 0.5786
0.0000 0.0000 0.3351
0.5000 0.7696 0.4245
0.5000 0.2304 0.4245
0.5000 0.0000 0.1671
0.0000 0.2431 0.0786
0.0000 0.7569 0.0786
0.0000 0.5000 0.8351
0.5000 0.2696 0.9245
0.5000 0.7304 0.9245
0.5000 0.5000 0.6671
```

Computed properties:
M_tot: 0.001 μB per formula unit
Calculated density: 1.6 g/cm³

Which structure is most stable? one, by 0.5 kJ/mol of atoms over the runner-up.

--- one ---
VASP calculation (PBE) on crystalline K2Na2Sm2MgNb2O10 at its relaxed geometry.

Cell and atoms, written as POSCAR:
```
K2Na2Sm2MgNb2O10
1.0
-3.5220 -1.0503 4.3963
-2.6750 -4.1805 -3.1418
5.2537 -6.4371 2.6711
K Na Sm Mg Nb O
2 2 2 1 2 10
Direct
0.2500 0.8188 0.0963
0.7500 0.2457 0.0044
0.7500 0.7652 0.2469
0.2500 0.1186 0.7445
0.7500 0.2453 0.5064
0.2500 0.7565 0.4859
0.2500 0.5399 0.8295
0.2500 0.2875 0.2587
0.7500 0.7246 0.7483
0.7500 0.7606 0.9602
0.5274 0.9430 0.6222
0.0200 0.4982 0.3430
0.5163 0.4627 0.6914
0.9837 0.4627 0.6914
0.9726 0.9430 0.6222
0.0200 0.0452 0.3099
0.4800 0.4982 0.3430
0.2500 0.3391 0.0373
0.4800 0.0452 0.3099
```

Computed properties:
Symmetry: Pm, No. 6
M_tot: 0.003 μB per formula unit
Calculated density: 4.5 g/cm³

--- two ---
VASP calculation (PBE) on crystalline K2Na2Sm2MgNb2O10 at its relaxed geometry.

Cell and atoms, written as POSCAR:
```
K2Na2Sm2MgNb2O10
1.0
-4.4696 2.6504 -2.2120
2.0921 -0.7989 -5.1846
-4.5655 -8.1844 -0.5812
K Na Sm Mg Nb O
2 2 2 1 2 10
Direct
0.2500 0.7500 0.9493
0.7500 0.2500 0.9493
0.7500 0.7500 0.1565
0.2500 0.2500 0.7694
0.7500 0.2500 0.5289
0.2500 0.7500 0.5289
0.7500 0.7500 0.4058
0.2500 0.2500 0.2846
0.7500 0.7500 0.7212
0.7500 0.7500 0.9336
0.5054 0.9946 0.6807
0.0100 0.4900 0.3527
0.5054 0.5054 0.6807
0.9946 0.5054 0.6807
0.9946 0.9946 0.6807
0.0100 0.0100 0.3527
0.4900 0.4900 0.3527
0.2500 0.2500 0.0844
0.4900 0.0100 0.3527
```

Computed properties:
Symmetry: P4mm, No. 99
M_tot: 0.000 μB per formula unit
Calculated density: 4.4 g/cm³

--- three ---
VASP calculation (PBE) on crystalline K2Na2Sm2MgNb2O10 at its relaxed geometry.

Cell and atoms, written as POSCAR:
```
K2Na2Sm2MgNb2O10
1.0
-1.8331 -5.2018 -2.0760
2.8050 -3.0873 4.1628
-7.2721 0.4826 5.3039
K Na Sm Mg Nb O
2 2 2 1 2 10
Direct
0.2446 0.8730 0.9562
0.6270 0.2554 0.9562
0.7071 0.7929 0.2815
0.2674 0.2326 0.6787
0.7875 0.2782 0.4817
0.2218 0.7125 0.4817
0.9936 0.5064 0.0973
0.2903 0.2097 0.2945
0.7582 0.7418 0.7320
0.8312 0.6688 0.9382
0.5269 0.9731 0.7617
0.9967 0.5033 0.3099
0.5404 0.5382 0.6456
0.9936 0.5064 0.6328
0.9618 0.9596 0.6456
0.0371 0.0145 0.3352
0.4855 0.4629 0.3352
0.2249 0.2751 0.0693
0.4834 0.0166 0.4292
```

Computed properties:
Symmetry: Cm, No. 8
M_tot: 0.005 μB per formula unit
Calculated density: 4.2 g/cm³

Which structure is most stable? three, by 0.8 kJ/mol of atoms over the runner-up.

--- one ---
VASP calculation (PBE) on crystalline KNaMg14O15 at its relaxed geometry.

Cell and atoms, written as POSCAR:
```
KNaMg14O15
1.0
-7.1243 3.4212 3.7499
-4.2630 -7.4115 -1.3373
1.3596 -1.4941 3.9462
K Na Mg O
1 1 14 15
Direct
0.9880 0.0000 0.0000
0.5022 0.5000 0.0000
0.9777 0.5000 0.0000
0.4975 0.0000 0.0000
0.0091 0.2519 0.5000
0.0091 0.7481 0.5000
0.4955 0.2521 0.5000
0.4955 0.7479 0.5000
0.2527 0.0000 0.5000
0.2481 0.5000 0.5000
0.7419 0.0000 0.5000
0.7436 0.5000 0.5000
0.2565 0.2254 0.0000
0.2565 0.7746 0.0000
0.7308 0.2502 0.0000
0.7308 0.7498 0.0000
0.2708 0.0000 0.0000
0.7207 0.0000 0.0000
0.7542 0.5000 0.0000
0.2548 0.2592 0.5000
0.2548 0.7408 0.5000
0.7508 0.2513 0.5000
0.7508 0.7487 0.5000
0.0171 0.0000 0.5000
0.0079 0.5000 0.5000
0.4960 0.0000 0.5000
0.4846 0.5000 0.5000
0.0339 0.2838 0.0000
0.0339 0.7162 0.0000
0.4922 0.2433 0.0000
0.4922 0.7567 0.0000
```

Computed properties:
Symmetry: Pmm2, No. 25
M_tot: 0.000 μB per formula unit
Calculated density: 3.2 g/cm³

--- two ---
VASP calculation (PBE) on crystalline KNaMg14O15 at its relaxed geometry.

Cell and atoms, written as POSCAR:
```
KNaMg14O15
1.0
-2.9944 -6.0089 5.1714
8.2127 -2.0092 2.4209
-0.2463 2.9466 3.2811
K Na Mg O
1 1 14 15
Direct
0.0590 0.0000 0.0000
0.5021 0.5000 0.0000
0.9932 0.5000 0.0000
0.5225 0.0000 0.0000
0.9955 0.2548 0.5000
0.9955 0.7452 0.5000
0.4969 0.2501 0.5000
0.4969 0.7499 0.5000
0.2509 0.0000 0.5000
0.2494 0.5000 0.5000
0.7629 0.0000 0.5000
0.7427 0.5000 0.5000
0.2474 0.2814 0.0000
0.2474 0.7186 0.0000
0.7563 0.2501 0.0000
0.7563 0.7499 0.0000
0.2384 0.5000 0.0000
0.7501 0.0000 0.0000
0.7569 0.5000 0.0000
0.2449 0.2385 0.5000
0.2449 0.7615 0.5000
0.7456 0.2482 0.5000
0.7456 0.7518 0.5000
0.0035 0.0000 0.5000
0.0011 0.5000 0.5000
0.4878 0.0000 0.5000
0.4916 0.5000 0.5000
0.0032 0.2697 0.0000
0.0032 0.7303 0.0000
0.4790 0.2240 0.0000
0.4790 0.7760 0.0000
```

Computed properties:
Symmetry: Pmm2, No. 25
M_tot: 0.000 μB per formula unit
Calculated density: 3.2 g/cm³

Which structure is most stable? two, by 1.2 kJ/mol of atoms over the runner-up.